1.
The following is a DFT calculation (PBE) of a relaxed structure of Ba3Ta6Si4O23.

Cell lengths 9.1538, 9.1538, 7.6625 Å; angles 90.00, 90.00, 120.00 degrees
With the nearest neighbours (Å) after each atom.
Fractional coordinates of all 36 atoms:
1 Ba 0.0000 0.5898 0.0000  10 O 2.82-2.95
2 Ba 0.4102 0.4102 0.0000  10 O 2.82-2.95
3 Ba 0.5898 0.0000 0.0000  10 O 2.82-2.95
4 Ta 0.0000 0.2376 0.2505  5 O 1.95-2.06
5 Ta 0.0000 0.2376 0.7495  5 O 1.95-2.06
6 Ta 0.2376 0.0000 0.2505  5 O 1.95-2.06
7 Ta 0.2376 0.0000 0.7495  5 O 1.95-2.06
8 Ta 0.7624 0.7624 0.2505  5 O 1.95-2.06
9 Ta 0.7624 0.7624 0.7495  5 O 1.95-2.06
10 Si 0.3333 0.6667 0.2901  4 O 1.61-1.64
11 Si 0.3333 0.6667 0.7099  4 O 1.61-1.64
12 Si 0.6667 0.3333 0.2901  4 O 1.61-1.64
13 Si 0.6667 0.3333 0.7099  4 O 1.61-1.64
14 O 0.0000 0.2799 0.5000  2 Ta 1.95
15 O 0.0000 0.8272 0.2341  2 Ta 1.95
16 O 0.0000 0.8272 0.7659  2 Ta 1.95
17 O 0.1728 0.1728 0.2341  2 Ta 1.95
18 O 0.1728 0.1728 0.7659  2 Ta 1.95
19 O 0.1865 0.4851 0.2127  1 Si 1.64
20 O 0.1865 0.4851 0.7873  1 Si 1.64
21 O 0.2799 0.0000 0.5000  2 Ta 1.95
22 O 0.2985 0.8135 0.2127  1 Si 1.64
23 O 0.2985 0.8135 0.7873  1 Si 1.64
24 O 0.3333 0.6667 0.5000  2 Si 1.61
25 O 0.4851 0.1865 0.2127  1 Si 1.64
26 O 0.4851 0.1865 0.7873  1 Si 1.64
27 O 0.5149 0.7015 0.2127  1 Si 1.64
28 O 0.5149 0.7015 0.7873  1 Si 1.64
29 O 0.6667 0.3333 0.5000  2 Si 1.61
30 O 0.7015 0.5149 0.2127  1 Si 1.64
31 O 0.7015 0.5149 0.7873  1 Si 1.64
32 O 0.7201 0.7201 0.5000  2 Ta 1.95
33 O 0.8135 0.2985 0.2127  1 Si 1.64
34 O 0.8135 0.2985 0.7873  1 Si 1.64
35 O 0.8272 0.0000 0.2341  2 Ta 1.95
36 O 0.8272 0.0000 0.7659  2 Ta 1.95

Properties
E_form	-113.50	eV/f.u.
MP2020-corrected energy	-9.05	eV per atom
total magnetic moment	0.00	μB per cell

***

2.
The following is a DFT calculation (PBE) of a relaxed structure of Na3LaSi2GeSO12.

Cell lengths 9.4500, 9.4500, 22.6298 Å; angles 85.16, 94.84, 117.40 degrees
With the nearest neighbours (Å) after each atom.
Fractional coordinates of all 120 atoms:
1 Na 0.6664 0.9628 0.5858  4 O 2.37-2.52
2 Na 0.3228 0.6798 0.6710  4 O 2.38-2.49
3 Na 0.6409 0.9995 0.2406  3 O 2.29-2.42
4 Na 0.3331 0.2961 0.9191  4 O 2.37-2.52
5 Na 0.3706 0.0003 0.7524  4 O 2.37-2.52
6 Na 0.9869 0.0105 0.5044  4 O 2.38-2.49
7 Na 0.6672 0.6925 0.0739  3 O 2.29-2.42
8 Na 0.0372 0.3336 0.0858  4 O 2.37-2.52
9 Na 0.3339 0.0258 0.4073  3 O 2.29-2.42
10 Na 0.6561 0.3465 0.3377  4 O 2.38-2.49
11 Na 0.6535 0.3439 0.8377  4 O 2.38-2.49
12 Na 0.9997 0.6294 0.2524  4 O 2.37-2.52
13 Na 0.0005 0.3591 0.7406  3 O 2.29-2.42
14 Na 0.3202 0.6772 0.1710  4 O 2.38-2.49
15 Na 0.9742 0.6661 0.9073  3 O 2.29-2.42
16 Na 0.3075 0.3328 0.5739  3 O 2.29-2.42
17 Na 0.9895 0.0131 0.0044  4 O 2.38-2.49
18 Na 0.7039 0.6669 0.4191  4 O 2.37-2.52
19 O 0.7989 0.7930 0.3108  1 Si 1.60
20 O 0.9546 0.8103 0.0861  1 Si 1.71, 1 Ge 1.84
21 O 0.0130 0.1912 0.9180  1 Si 1.61
22 O 0.8824 0.3279 0.6467  1 Si 1.60
23 O 0.6895 0.5750 0.5260  1 S 1.47
24 O 0.8762 0.0399 0.0958  1 Si 1.75, 1 Ge 1.90
25 O 0.4990 0.1526 0.9117  1 S 1.48
26 O 0.5429 0.3732 0.4291  1 Si 1.75, 1 Ge 1.90
27 O 0.8757 0.3488 0.2448  1 S 1.51
28 O 0.9601 0.1238 0.5958  1 Si 1.75, 1 Ge 1.90
29 O 0.4315 0.3174 0.1334  1 S 1.48
30 O 0.5491 0.6612 0.9801  1 Si 1.60
31 O 0.6512 0.1243 0.7448  1 S 1.51
32 O 0.1184 0.4824 0.8573  1 Si 1.72, 1 Ge 1.81
33 O 0.0228 0.2416 0.1926  1 S 1.47
34 O 0.1897 0.0454 0.5861  1 Si 1.71, 1 Ge 1.84
35 O 0.1422 0.6536 0.0847  1 Si 1.61
36 O 0.3464 0.8578 0.5847  1 Si 1.61
37 O 0.7981 0.2695 0.5302  1 Si 1.78, 1 Ge 1.84
38 O 0.2095 0.7065 0.7624  1 Si 1.75, 1 Ge 1.90
39 O 0.6797 0.5245 0.2514  1 Si 1.61
40 O 0.3388 0.4509 0.4801  1 Si 1.60
41 O 0.3178 0.4577 0.0782  1 S 1.51
42 O 0.7851 0.8157 0.1906  1 Si 1.72, 1 Ge 1.81
43 O 0.8088 0.9870 0.4180  1 Si 1.61
44 O 0.4648 0.6029 0.8635  1 Si 1.78, 1 Ge 1.84
45 O 0.4599 0.1061 0.2415  1 Si 1.61
46 O 0.5231 0.7121 0.2528  1 Si 1.71, 1 Ge 1.84
47 O 0.6721 0.1176 0.1467  1 Si 1.60
48 O 0.3971 0.5352 0.3635  1 Si 1.78, 1 Ge 1.84
49 O 0.8509 0.5482 0.0240  1 Si 1.72, 1 Ge 1.81
50 O 0.4755 0.3203 0.7514  1 Si 1.61
51 O 0.0159 0.2351 0.3001  1 S 1.48
52 O 0.1843 0.2149 0.6906  1 Si 1.72, 1 Ge 1.81
53 O 0.4250 0.3105 0.0260  1 S 1.47
54 O 0.7933 0.7728 0.9082  1 Si 1.61
55 O 0.8736 0.5344 0.1441  1 Si 1.60
56 O 0.6826 0.5685 0.6334  1 S 1.48
57 O 0.5605 0.8734 0.0749  1 Si 1.61
58 O 0.2272 0.2067 0.4082  1 Si 1.61
59 O 0.0055 0.7843 0.8134  1 Si 1.60
60 O 0.2935 0.7905 0.2624  1 Si 1.75, 1 Ge 1.90
61 O 0.0638 0.8686 0.6968  1 Si 1.78, 1 Ge 1.84
62 O 0.5403 0.8677 0.4775  1 Si 1.60
63 O 0.9845 0.7910 0.4115  1 S 1.51
64 O 0.5176 0.8816 0.3573  1 Si 1.72, 1 Ge 1.81
65 O 0.0917 0.6439 0.3593  1 S 1.47
66 O 0.2070 0.2011 0.8108  1 Si 1.60
67 O 0.4656 0.1264 0.6441  1 Si 1.60
68 O 0.8564 0.3788 0.9195  1 Si 1.71, 1 Ge 1.84
69 O 0.6268 0.4571 0.9291  1 Si 1.75, 1 Ge 1.90
70 O 0.2090 0.0155 0.9115  1 S 1.51
71 O 0.0982 0.6508 0.4668  1 S 1.48
72 O 0.1808 0.1676 0.0784  1 S 1.48
73 O 0.2879 0.4769 0.7528  1 Si 1.71, 1 Ge 1.84
74 O 0.7305 0.2019 0.0302  1 Si 1.78, 1 Ge 1.84
75 O 0.8324 0.8192 0.5784  1 S 1.48
76 O 0.1323 0.4597 0.9775  1 Si 1.60
77 O 0.1657 0.4859 0.2451  1 S 1.48
78 O 0.1314 0.9362 0.1968  1 Si 1.78, 1 Ge 1.84
79 O 0.8474 0.5010 0.4117  1 S 1.48
80 O 0.7649 0.9841 0.8001  1 S 1.48
81 O 0.2157 0.9945 0.3134  1 Si 1.60
82 O 0.7584 0.9772 0.6926  1 S 1.47
83 O 0.8939 0.5401 0.7415  1 Si 1.61
84 O 0.6212 0.1436 0.4195  1 Si 1.71, 1 Ge 1.84
85 O 0.5141 0.8343 0.7451  1 S 1.48
86 O 0.3492 0.9018 0.9668  1 S 1.48
87 O 0.5423 0.6822 0.5782  1 S 1.51
88 O 0.4518 0.1491 0.5240  1 Si 1.72, 1 Ge 1.81
89 O 0.3561 0.9083 0.8593  1 S 1.47
90 O 0.1266 0.4395 0.5749  1 Si 1.61
91 Si 0.9484 0.3035 0.5877  4 O 1.60-1.78
92 Si 0.9640 0.6333 0.0866  4 O 1.60-1.72
93 Si 0.0334 0.3693 0.9199  4 O 1.60-1.72
94 Si 0.0298 0.7183 0.7543  4 O 1.60-1.78
95 Si 0.6307 0.9666 0.4199  4 O 1.60-1.72
96 Si 0.3667 0.0360 0.5866  4 O 1.60-1.72
97 Si 0.2817 0.9702 0.2543  4 O 1.60-1.78
98 Si 0.6965 0.0516 0.0877  4 O 1.60-1.78
99 Si 0.6151 0.6368 0.9210  4 O 1.60-1.78
100 Si 0.3632 0.3849 0.4210  4 O 1.60-1.78
101 Si 0.7000 0.7026 0.2533  4 O 1.60-1.72
102 Si 0.2974 0.3000 0.7533  4 O 1.60-1.72
103 Ge 0.4064 0.7055 0.3148  4 O 1.81-1.90
104 Ge 0.6278 0.2603 0.4815  4 O 1.81-1.90
105 Ge 0.9612 0.9270 0.1481  4 O 1.81-1.90
106 Ge 0.7397 0.3722 0.9815  4 O 1.81-1.90
107 Ge 0.0730 0.0388 0.6481  4 O 1.81-1.90
108 Ge 0.2945 0.5936 0.8148  4 O 1.81-1.90
109 S 0.0051 0.6425 0.4103  4 O 1.47-1.51
110 S 0.6908 0.6616 0.5769  4 O 1.47-1.51
111 S 0.6717 0.9758 0.7436  4 O 1.47-1.51
112 S 0.3575 0.9949 0.9103  4 O 1.47-1.51
113 S 0.3384 0.3092 0.0769  4 O 1.47-1.51
114 S 0.0242 0.3283 0.2436  4 O 1.47-1.51
115 La 0.0073 0.0176 0.3508  6 O 2.24-2.41
116 La 0.9824 0.9927 0.8508  6 O 2.24-2.41
117 La 0.6739 0.3509 0.6842  6 O 2.24-2.41
118 La 0.3406 0.6843 0.0175  6 O 2.24-2.41
119 La 0.3157 0.6594 0.5175  6 O 2.24-2.41
120 La 0.6491 0.3261 0.1842  6 O 2.24-2.41

Properties
E_form	-51.54	eV/f.u.
MP2020-corrected energy	-6.97	eV per atom
total magnetic moment	0.00	μB per cell

***

3.
The following is a DFT calculation (PBE) of a relaxed structure of La2Ge3.

Cell lengths 7.9315, 7.9315, 7.9315 Å; angles 149.51, 148.44, 44.45 degrees
With the nearest neighbours (Å) after each atom.
Fractional coordinates of all 5 atoms:
1 La 0.0000 0.0000 0.0000  10 Ge 3.21-3.39
2 La 0.7500 0.2500 0.5000  8 Ge 3.12-3.33
3 Ge 0.3219 0.8219 0.5000  2 Ge 2.56
4 Ge 0.4228 0.4228 0.0000  3 Ge 2.48-2.56
5 Ge 0.5919 0.5919 0.0000  1 Ge 2.48

Properties
E_form	-3.62	eV/f.u.
total magnetic moment	0.00	μB per cell

***

4.
The following is a DFT calculation (PBE) of a relaxed structure of NaPrDySbO6.

Cell lengths 5.8774, 5.8774, 5.8774 Å; angles 60.00, 60.00, 60.00 degrees
With the nearest neighbours (Å) after each atom.
Fractional coordinates of all 10 atoms:
1 Na 0.0000 0.0000 0.0000  12 O 2.94
2 Pr 0.5000 0.5000 0.5000  12 O 2.94
3 Dy 0.2500 0.2500 0.2500  6 O 2.18
4 Sb 0.7500 0.7500 0.7500  6 O 1.98
5 O 0.5123 0.5123 0.9877  1 Sb 1.98, 1 Dy 2.18
6 O 0.5123 0.9877 0.5123  1 Sb 1.98, 1 Dy 2.18
7 O 0.5123 0.9877 0.9877  1 Sb 1.98, 1 Dy 2.18
8 O 0.9877 0.5123 0.5123  1 Sb 1.98, 1 Dy 2.18
9 O 0.9877 0.5123 0.9877  1 Sb 1.98, 1 Dy 2.18
10 O 0.9877 0.9877 0.5123  1 Sb 1.98, 1 Dy 2.18

Properties
E_form	-28.03	eV/f.u.
MP2020-corrected energy	-7.26	eV per atom
total magnetic moment	0.00	μB per cell

***

5.
The following is a DFT calculation (PBE) of a relaxed structure of LaBi5O9.

Cell lengths 9.5994, 9.5994, 6.9984 Å; angles 98.43, 98.43, 23.84 degrees
With the nearest neighbours (Å) after each atom.
Fractional coordinates of all 15 atoms:
1 La 0.0000 0.0000 0.0000  7 O 2.45-2.66
2 Bi 0.1568 0.1568 0.4021  4 O 2.14-2.27
3 Bi 0.3296 0.3296 0.0872  3 O 2.18-2.26
4 Bi 0.4891 0.4891 0.5077  5 O 2.29-2.48
5 Bi 0.6662 0.6662 0.8747  4 O 2.24-2.49
6 Bi 0.8230 0.8230 0.6151  4 O 2.14-2.34
7 O 0.0417 0.0417 0.3798  1 Bi 2.14
8 O 0.1321 0.1321 0.0791  1 Bi 2.24, 1 La 2.46
9 O 0.2372 0.2372 0.7988  3 Bi 2.46-2.49
10 O 0.3379 0.3379 0.4488  3 Bi 2.34-2.51
11 O 0.4472 0.4472 0.1290  1 Bi 2.18
12 O 0.5457 0.5457 0.8213  2 Bi 2.24-2.29
13 O 0.6425 0.6425 0.5489  3 Bi 2.26-2.27
14 O 0.8497 0.8497 0.9503  3 Bi 2.26-2.32
15 O 0.9384 0.9384 0.6533  1 Bi 2.14

Properties
E_form	-29.48	eV/f.u.
MP2020-corrected energy	-6.56	eV per atom
total magnetic moment	0.00	μB per cell

***

6.
The following is a DFT calculation (PBE) of a relaxed structure of LiTa2CuO6.

Cell lengths 5.5885, 5.5885, 5.5885 Å; angles 55.79, 55.79, 55.79 degrees
With the nearest neighbours (Å) after each atom.
Fractional coordinates of all 10 atoms:
1 Li 0.0000 0.0000 0.0000  3 O 2.06
2 Ta 0.2153 0.2153 0.2153  6 O 1.95-2.09
3 Ta 0.7107 0.7107 0.7107  6 O 1.97-2.06
4 Cu 0.4735 0.4735 0.4735  3 O 2.04
5 O 0.0705 0.4432 0.8433  2 Ta 1.97-2.09, 1 Cu 2.04
6 O 0.3309 0.9529 0.5821  2 Ta 1.95-2.06, 1 Li 2.06
7 O 0.4432 0.8433 0.0705  2 Ta 1.97-2.09, 1 Cu 2.04
8 O 0.5821 0.3309 0.9529  2 Ta 1.95-2.06, 1 Li 2.06
9 O 0.8433 0.0705 0.4432  2 Ta 1.97-2.09, 1 Cu 2.04
10 O 0.9529 0.5821 0.3309  2 Ta 1.95-2.06, 1 Li 2.06

Properties
E_form	-27.70	eV/f.u.
MP2020-corrected energy	-8.71	eV per atom
ΔE to the lowest computed polymorph	0	meV/atom
total magnetic moment	0.00	μB per cell

***

7.
The following is a DFT calculation (PBE) of a relaxed structure of CsAgCl2.

Cell lengths 5.1359, 5.1359, 10.0052 Å; angles 90.00, 90.00, 90.00 degrees
With the nearest neighbours (Å) after each atom.
Fractional coordinates of all 8 atoms:
1 Cs 0.2500 0.2500 0.2011  5 Cl 3.48-3.67
2 Cs 0.7500 0.7500 0.7989  5 Cl 3.48-3.67
3 Ag 0.2500 0.2500 0.5986  5 Cl 2.55-2.75
4 Ag 0.7500 0.7500 0.4014  5 Cl 2.55-2.75
5 Cl 0.2500 0.2500 0.8533  1 Ag 2.55
6 Cl 0.2500 0.7500 0.5000  4 Ag 2.75
7 Cl 0.7500 0.2500 0.5000  4 Ag 2.75
8 Cl 0.7500 0.7500 0.1467  1 Ag 2.55

Properties
E_form	-6.11	eV/f.u.
MP2020-corrected energy	-3.38	eV per atom
ΔE to the lowest computed polymorph	0	meV/atom

***

8.
The following is a DFT calculation (PBE) of a relaxed structure of SbO2.

Cell lengths 7.4434, 7.4434, 7.4434 Å; angles 60.00, 60.00, 60.00 degrees
With the nearest neighbours (Å) after each atom.
Fractional coordinates of all 24 atoms:
1 Sb 0.2463 0.7512 0.7512  3 O 2.02
2 Sb 0.2488 0.2488 0.2488  3 O 2.02
3 Sb 0.2488 0.2488 0.7537  3 O 2.02
4 Sb 0.2488 0.7537 0.2488  3 O 2.02
5 Sb 0.7512 0.2463 0.7512  3 O 2.02
6 Sb 0.7512 0.7512 0.2463  3 O 2.02
7 Sb 0.7512 0.7512 0.7512  3 O 2.02
8 Sb 0.7537 0.2488 0.2488  3 O 2.02
9 O 0.0000 0.0000 0.0000  6 Sb 2.62, 6 O 2.65
10 O 0.0000 0.0000 0.5000  6 Sb 2.62, 6 O 2.65
11 O 0.0000 0.5000 0.0000  6 Sb 2.62, 6 O 2.65
12 O 0.1793 0.1793 0.5707  2 Sb 2.02
13 O 0.1793 0.5707 0.1793  2 Sb 2.02
14 O 0.1793 0.5707 0.5707  2 Sb 2.02
15 O 0.4293 0.4293 0.8207  2 Sb 2.02
16 O 0.4293 0.8207 0.4293  2 Sb 2.02
17 O 0.4293 0.8207 0.8207  2 Sb 2.02
18 O 0.5000 0.0000 0.0000  6 Sb 2.62, 6 O 2.65
19 O 0.5707 0.1793 0.1793  2 Sb 2.02
20 O 0.5707 0.1793 0.5707  2 Sb 2.02
21 O 0.5707 0.5707 0.1793  2 Sb 2.02
22 O 0.8207 0.4293 0.4293  2 Sb 2.02
23 O 0.8207 0.4293 0.8207  2 Sb 2.02
24 O 0.8207 0.8207 0.4293  2 Sb 2.02

Properties
E_form	-4.13	eV/f.u.
MP2020-corrected energy	-6.05	eV per atom
total magnetic moment	0.01	μB per cell

***

9.
The following is a DFT calculation (PBE) of a relaxed structure of KSr3.

Cell lengths 6.9230, 6.9230, 6.9230 Å; angles 60.00, 60.00, 60.00 degrees
With the nearest neighbours (Å) after each atom.
Fractional coordinates of all 4 atoms:
1 K 0.0000 0.0000 0.0000  8 Sr 4.24
2 Sr 0.2500 0.2500 0.2500  4 Sr 4.24, 4 K 4.24
3 Sr 0.5000 0.5000 0.5000  8 Sr 4.24
4 Sr 0.7500 0.7500 0.7500  4 K 4.24, 4 Sr 4.24

Properties
E_form	0.43	eV/f.u.
ΔE to the lowest computed polymorph	9	meV/atom
total magnetic moment	0.02	μB per cell

***

10.
The following is a DFT calculation (PBE) of a relaxed structure of CeSe2.

Cell lengths 5.4440, 5.4440, 5.4440 Å; angles 138.73, 138.73, 59.79 degrees
With the nearest neighbours (Å) after each atom.
Fractional coordinates of all 3 atoms:
1 Ce 0.0000 0.0000 0.0000  10 Se 3.08-3.27
2 Se 0.3465 0.3465 0.0000  1 Se 2.90, 4 Ce 3.08
3 Se 0.6535 0.6535 0.0000  1 Se 2.90, 4 Ce 3.08

Properties
E_form	-5.32	eV/f.u.
MP2020-corrected energy	-6.08	eV per atom
total magnetic moment	0.00	μB per cell

***

11.
The following is a DFT calculation (PBE) of a relaxed structure of Ba2SrI6.

Cell lengths 9.3296, 9.3296, 10.4533 Å; angles 91.15, 91.15, 120.00 degrees
With the nearest neighbours (Å) after each atom.
Fractional coordinates of all 18 atoms:
1 Ba 0.1106 0.7817 0.5080  5 I 3.42-3.72
2 Ba 0.2183 0.8894 0.9920  5 I 3.42-3.72
3 Ba 0.7817 0.1106 0.0080  5 I 3.42-3.72
4 Ba 0.8894 0.2183 0.4920  5 I 3.42-3.72
5 Sr 0.4524 0.5476 0.7500  8 I 3.39-3.51
6 Sr 0.5476 0.4524 0.2500  8 I 3.39-3.51
7 I 0.0574 0.4862 0.7883  1 Sr 3.47, 2 Ba 3.72-3.85
8 I 0.1504 0.1917 0.1476  1 Sr 3.39, 2 Ba 3.42-3.56
9 I 0.1917 0.1504 0.6476  1 Sr 3.39, 2 Ba 3.42-3.56
10 I 0.3071 0.5506 0.4482  2 Sr 3.42-3.51, 2 Ba 3.51-3.61
11 I 0.4494 0.6929 0.0518  2 Sr 3.42-3.51, 2 Ba 3.51-3.61
12 I 0.4862 0.0574 0.2883  1 Sr 3.47, 2 Ba 3.72-3.85
13 I 0.5138 0.9426 0.7117  1 Sr 3.47, 2 Ba 3.72-3.85
14 I 0.5506 0.3071 0.9482  2 Sr 3.42-3.51, 2 Ba 3.51-3.61
15 I 0.6929 0.4494 0.5518  2 Sr 3.42-3.51, 2 Ba 3.51-3.61
16 I 0.8083 0.8496 0.3524  1 Sr 3.39, 2 Ba 3.42-3.56
17 I 0.8496 0.8083 0.8524  1 Sr 3.39, 2 Ba 3.42-3.56
18 I 0.9426 0.5138 0.2117  1 Sr 3.47, 2 Ba 3.72-3.85

Properties
E_form	-17.68	eV/f.u.
MP2020-corrected energy	-3.60	eV per atom
ΔE to the lowest computed polymorph	42	meV/atom
total magnetic moment	0.00	μB per cell

***

12.
The following is a DFT calculation (PBE) of a relaxed structure of SmInCu.

Cell lengths 7.5644, 7.5644, 3.9974 Å; angles 90.00, 90.00, 120.00 degrees
With the nearest neighbours (Å) after each atom.
Fractional coordinates of all 9 atoms:
1 Sm 0.0000 0.4115 0.0000  5 Cu 3.03-3.11, 6 In 3.24-3.37
2 Sm 0.4115 0.0000 0.0000  5 Cu 3.03-3.11, 6 In 3.24-3.37
3 Sm 0.5885 0.5885 0.0000  5 Cu 3.03-3.11, 6 In 3.24-3.37
4 In 0.0000 0.7491 0.5000  4 Cu 2.76-2.88
5 In 0.2509 0.2509 0.5000  4 Cu 2.76-2.88
6 In 0.7491 0.0000 0.5000  4 Cu 2.76-2.88
7 Cu 0.0000 0.0000 0.0000  6 In 2.76
8 Cu 0.3333 0.6667 0.5000  3 In 2.88, 6 Sm 3.03
9 Cu 0.6667 0.3333 0.5000  3 In 2.88, 6 Sm 3.03

Properties
E_form	-1.20	eV/f.u.